# 1
An optimized crystal structure of CsBaI3. Source: the Materials Project, functional r²SCAN.

The structure in POSCAR format:
```
CsBaI3
1.0
10.5808 0.0000 0.0000
0.0000 5.2774 0.0000
0.0000 0.0000 18.5107
Cs Ba I
4 4 12
Direct
0.0837 0.2500 0.1763
0.4163 0.7500 0.6763
0.5837 0.2500 0.3237
0.9163 0.7500 0.8237
0.1743 0.7500 0.4385
0.3257 0.2500 0.9385
0.6743 0.7500 0.0615
0.8257 0.2500 0.5615
0.0272 0.7500 0.6089
0.1562 0.7500 0.0115
0.1885 0.2500 0.7745
0.3115 0.7500 0.2745
0.3438 0.2500 0.5115
0.4728 0.2500 0.1089
0.5272 0.7500 0.8911
0.6562 0.7500 0.4885
0.6885 0.2500 0.7255
0.8115 0.7500 0.2255
0.8438 0.2500 0.9885
0.9728 0.2500 0.3911
```

Output
SG ... Pnma (62)
V ... 51.68 Å³/atom
Total magnetization ... 0.00 μB per formula unit
Energy of formation from the pure elements ... -1925 meV/atom

# 2
An optimized crystal structure of BaCu13. Source: the Materials Project, functional r²SCAN.

The structure in POSCAR format:
```
BaCu13
1.0
0.0000 5.8033 5.8033
5.8033 0.0000 5.8033
5.8033 5.8033 0.0000
Ba Cu
2 26
Direct
0.2500 0.2500 0.2500
0.7500 0.7500 0.7500
0.0000 0.0000 0.0000
0.0651 0.2940 0.7060
0.0651 0.7060 0.9349
0.0651 0.9349 0.2940
0.2060 0.4349 0.7940
0.2060 0.5651 0.4349
0.2060 0.7940 0.5651
0.2940 0.0651 0.9349
0.2940 0.7060 0.0651
0.2940 0.9349 0.7060
0.4349 0.2060 0.5651
0.4349 0.5651 0.7940
0.4349 0.7940 0.2060
0.5000 0.5000 0.5000
0.5651 0.2060 0.7940
0.5651 0.4349 0.2060
0.5651 0.7940 0.4349
0.7060 0.0651 0.2940
0.7060 0.2940 0.9349
0.7060 0.9349 0.0651
0.7940 0.2060 0.4349
0.7940 0.4349 0.5651
0.7940 0.5651 0.2060
0.9349 0.0651 0.7060
0.9349 0.2940 0.0651
0.9349 0.7060 0.2940
```

Output
SG ... Fm-3c (226)
V ... 13.96 Å³/atom
Total magnetization ... 0.00 μB per formula unit
Energy of formation from the pure elements ... 2 meV/atom